Record 1
Ba2NF: relaxed, PBE-GGA.

Cell lengths 5.741, 5.741, 11.644 Å; angles 90.00, 90.00, 90.00 degrees
Space group I4_1/amd (No. 141, origin choice 2)
Unique sites:
Ba 0.000 0.250 0.106 [8 per cell]
N 0.000 0.250 0.875 [4 per cell]
F 0.000 0.250 0.375 [4 per cell]

Computed properties:
The value obtained for the spin magnetization is 0.00 μB per cell. The calculation puts the distance to the lowest polymorph of the same formula at 0.043 eV/atom. As for the total energy after the MP2020 corrections: -5.296 eV/atom. The formation energy is -1.77 eV/atom.

Record 2
Na18Ta4Zn8Si9S9O72: relaxed, PBE-GGA.

Cell lengths 9.048, 9.088, 22.438 Å; angles 89.91, 89.37, 60.23 degrees
Space group P1 (No. 1)
Unique sites:
Na 0.000 0.000 0.000 [1 per cell]
Na 0.000 0.292 0.483 [1 per cell]
Na 0.012 0.648 0.740 [1 per cell]
Na 0.319 0.609 0.831 [1 per cell]
Na 0.322 0.976 0.572 [1 per cell]
Na 0.324 0.354 0.334 [1 per cell]
Na 0.335 0.693 0.497 [1 per cell]
Na 0.338 0.975 0.079 [1 per cell]
Na 0.348 0.292 0.990 [1 per cell]
Na 0.615 0.688 0.003 [1 per cell]
Na 0.633 0.004 0.487 [1 per cell]
Na 0.637 0.323 0.913 [1 per cell]
Na 0.672 0.314 0.404 [1 per cell]
Na 0.683 0.999 0.840 [1 per cell]
Na 0.711 0.614 0.330 [1 per cell]
Na 0.945 0.001 0.338 [1 per cell]
Na 0.960 0.368 0.832 [1 per cell]
Na 0.970 0.657 0.245 [1 per cell]
Ta 0.319 0.999 0.724 [1 per cell]
Ta 0.334 0.991 0.229 [1 per cell]
Ta 0.645 0.336 0.065 [1 per cell]
Ta 0.653 0.338 0.562 [1 per cell]
Zn 0.006 0.662 0.908 [1 per cell]
Zn 0.321 0.996 0.429 [1 per cell]
Zn 0.341 0.989 0.935 [1 per cell]
Zn 0.620 0.336 0.759 [1 per cell]
Zn 0.679 0.325 0.266 [1 per cell]
Zn 0.948 0.682 0.395 [1 per cell]
Zn 0.968 0.684 0.099 [1 per cell]
Zn 0.990 0.680 0.594 [1 per cell]
Si 0.032 0.289 0.333 [1 per cell]
Si 0.280 0.663 0.998 [1 per cell]
Si 0.319 0.289 0.833 [1 per cell]
Si 0.346 0.624 0.668 [1 per cell]
Si 0.617 0.002 0.333 [1 per cell]
Si 0.663 0.623 0.169 [1 per cell]
Si 0.696 0.955 0.996 [1 per cell]
Si 0.701 0.666 0.500 [1 per cell]
Si 0.993 0.955 0.497 [1 per cell]
S 0.030 0.999 0.830 [1 per cell]
S 0.287 0.368 0.501 [1 per cell]
S 0.322 0.703 0.331 [1 per cell]
S 0.361 0.326 0.167 [1 per cell]
S 0.613 0.702 0.829 [1 per cell]
S 0.655 0.033 0.667 [1 per cell]
S 0.946 0.325 0.668 [1 per cell]
S 0.953 0.035 0.165 [1 per cell]
S 0.984 0.366 0.998 [1 per cell]
O 0.014 0.445 0.049 [1 per cell]
O 0.015 0.844 0.828 [1 per cell]
O 0.033 0.468 0.331 [1 per cell]
O 0.040 0.833 0.554 [1 per cell]
O 0.106 0.018 0.884 [1 per cell]
O 0.112 0.172 0.392 [1 per cell]
O 0.122 0.028 0.166 [1 per cell]
O 0.122 0.161 0.670 [1 per cell]
O 0.127 0.190 0.992 [1 per cell]
O 0.144 0.474 0.831 [1 per cell]
O 0.146 0.979 0.776 [1 per cell]
O 0.149 0.996 0.493 [1 per cell]
O 0.157 0.690 0.053 [1 per cell]
O 0.158 0.171 0.274 [1 per cell]
O 0.162 0.645 0.660 [1 per cell]
O 0.163 0.696 0.331 [1 per cell]
O 0.181 0.449 0.554 [1 per cell]
O 0.193 0.471 0.157 [1 per cell]
O 0.229 0.467 0.446 [1 per cell]
O 0.233 0.601 0.936 [1 per cell]
O 0.304 0.175 0.775 [1 per cell]
O 0.305 0.816 0.278 [1 per cell]
O 0.308 0.827 0.991 [1 per cell]
O 0.316 0.194 0.497 [1 per cell]
O 0.341 0.816 0.673 [1 per cell]
O 0.345 0.173 0.891 [1 per cell]
O 0.350 0.775 0.386 [1 per cell]
O 0.353 0.162 0.167 [1 per cell]
O 0.433 0.533 0.730 [1 per cell]
O 0.443 0.341 0.220 [1 per cell]
O 0.469 0.345 0.509 [1 per cell]
O 0.471 0.532 0.324 [1 per cell]
O 0.477 0.299 0.111 [1 per cell]
O 0.478 0.812 0.170 [1 per cell]
O 0.479 0.488 0.009 [1 per cell]
O 0.484 0.518 0.611 [1 per cell]
O 0.488 0.024 0.672 [1 per cell]
O 0.496 0.300 0.828 [1 per cell]
O 0.498 0.996 0.995 [1 per cell]
O 0.505 0.030 0.393 [1 per cell]
O 0.506 0.822 0.495 [1 per cell]
O 0.509 0.974 0.275 [1 per cell]
O 0.511 0.772 0.884 [1 per cell]
O 0.514 0.816 0.777 [1 per cell]
O 0.626 0.175 0.322 [1 per cell]
O 0.628 0.142 0.614 [1 per cell]
O 0.637 0.516 0.110 [1 per cell]
O 0.643 0.527 0.823 [1 per cell]
O 0.668 0.520 0.227 [1 per cell]
O 0.674 0.111 0.722 [1 per cell]
O 0.676 0.488 0.511 [1 per cell]
O 0.684 0.147 0.008 [1 per cell]
O 0.778 0.699 0.829 [1 per cell]
O 0.778 0.825 0.049 [1 per cell]
O 0.790 0.688 0.558 [1 per cell]
O 0.795 0.862 0.662 [1 per cell]
O 0.800 0.828 0.328 [1 per cell]
O 0.810 0.887 0.933 [1 per cell]
O 0.812 0.147 0.513 [1 per cell]
O 0.814 0.600 0.439 [1 per cell]
O 0.824 0.348 0.007 [1 per cell]
O 0.829 0.642 0.159 [1 per cell]
O 0.842 0.312 0.329 [1 per cell]
O 0.850 0.335 0.722 [1 per cell]
O 0.852 0.113 0.219 [1 per cell]
O 0.861 0.144 0.111 [1 per cell]
O 0.862 0.154 0.822 [1 per cell]
O 0.863 0.297 0.614 [1 per cell]
O 0.940 0.890 0.437 [1 per cell]
O 0.946 0.466 0.942 [1 per cell]
O 0.972 0.468 0.660 [1 per cell]
O 0.977 0.865 0.159 [1 per cell]

Computed properties:
The value obtained for the spin magnetization is 0.00 μB per cell. As for the total energy after the MP2020 corrections: -6.727 eV/atom. The formation energy is -2.36 eV/atom.